[1]
Ti4ZnO8 after structural relaxation, computed with GGA-PBE.

Structure (CIF):
```
data_Ti4ZnO8
_chemical_formula_sum 'Ti4 Zn1 O8'
_cell_length_a 7.473
_cell_length_b 7.473
_cell_length_c 9.650
_cell_angle_alpha 50.84
_cell_angle_beta 50.84
_cell_angle_gamma 22.85
_space_group_name_H-M_alt 'P 1'
_space_group_IT_number 1
_space_group_name_Hall 'P 1'
loop_
_atom_site_label
_atom_site_fract_x
_atom_site_fract_y
_atom_site_fract_z
Ti1 0.375 0.375 0.425
Ti2 0.858 0.858 0.795
Ti3 0.163 0.163 0.160
Ti4 0.646 0.646 0.513
Zn1 0.668 0.668 0.799
O1 0.144 0.144 0.379
O2 0.541 0.541 0.246
O3 0.470 0.470 0.710
O4 0.860 0.860 0.584
O5 0.826 0.826 0.354
O6 0.213 0.213 0.902
O7 0.161 0.161 0.655
O8 0.781 0.781 0.049
```

Excess energy over the best structure of this formula in the dataset ... 0.028 eV per atom
Energy of formation from the pure elements ... -3.070 eV per atom

---

[2]
Te2Mo3WSe6 after structural relaxation, computed with GGA-PBE.

Structure (CIF):
```
data_Te2Mo3WSe6
_chemical_formula_sum 'Te2 Mo3 W1 Se6'
_cell_length_a 3.380
_cell_length_b 3.380
_cell_length_c 38.425
_cell_angle_alpha 90.00
_cell_angle_beta 90.00
_cell_angle_gamma 120.00
_space_group_name_H-M_alt 'P 1'
_space_group_IT_number 1
_space_group_name_Hall 'P 1'
loop_
_atom_site_label
_atom_site_fract_x
_atom_site_fract_y
_atom_site_fract_z
Te1 0.667 0.333 0.045
Te2 0.667 0.333 0.143
Mo1 0.333 0.667 0.094
Mo2 0.333 0.667 0.470
Mo3 0.667 0.333 0.282
W1 0.667 0.333 0.658
Se1 0.333 0.667 0.325
Se2 0.333 0.667 0.701
Se3 0.667 0.333 0.427
Se4 0.667 0.333 0.513
Se5 0.333 0.667 0.239
Se6 0.333 0.667 0.614
```

Excess energy over the best structure of this formula in the dataset ... 0.000 eV per atom
Energy of formation from the pure elements ... -0.759 eV per atom

---

[3]
Na3Al3Si3O14 after structural relaxation, computed with GGA-PBE.

Structure (CIF):
```
data_Na3Al3Si3O14
_chemical_formula_sum 'Na12 Al12 Si12 O56'
_cell_length_a 5.279
_cell_length_b 15.268
_cell_length_c 16.337
_cell_angle_alpha 90.00
_cell_angle_beta 90.00
_cell_angle_gamma 90.00
_space_group_name_H-M_alt 'P 1'
_space_group_IT_number 1
_space_group_name_Hall 'P 1'
loop_
_atom_site_label
_atom_site_fract_x
_atom_site_fract_y
_atom_site_fract_z
Na1 0.964 0.246 0.920
Na2 0.464 0.754 0.080
Na3 0.464 0.746 0.580
Na4 0.964 0.254 0.420
Na5 0.458 0.255 0.593
Na6 0.958 0.745 0.407
Na7 0.958 0.755 0.907
Na8 0.458 0.245 0.093
Na9 0.544 0.489 0.779
Na10 0.044 0.511 0.221
Na11 0.044 0.989 0.721
Na12 0.544 0.011 0.279
Al1 0.981 0.246 0.705
Al2 0.481 0.754 0.295
Al3 0.481 0.746 0.795
Al4 0.981 0.254 0.205
Al5 0.490 0.392 0.953
Al6 0.990 0.608 0.047
Al7 0.990 0.892 0.547
Al8 0.490 0.108 0.453
Al9 0.504 0.105 0.950
Al10 0.004 0.895 0.050
Al11 0.004 0.605 0.550
Al12 0.504 0.395 0.450
Si1 0.484 0.253 0.808
Si2 0.984 0.747 0.192
Si3 0.984 0.753 0.692
Si4 0.484 0.247 0.308
Si5 0.008 0.392 0.562
Si6 0.508 0.608 0.438
Si7 0.508 0.892 0.938
Si8 0.008 0.108 0.062
Si9 0.991 0.111 0.559
Si10 0.491 0.889 0.441
Si11 0.491 0.611 0.941
Si12 0.991 0.389 0.059
O1 0.150 0.484 0.851
O2 0.650 0.516 0.149
O3 0.650 0.984 0.649
O4 0.150 0.016 0.351
O5 0.583 0.176 0.869
O6 0.083 0.824 0.131
O7 0.083 0.676 0.631
O8 0.583 0.324 0.369
O9 0.178 0.246 0.792
O10 0.678 0.754 0.208
O11 0.678 0.746 0.708
O12 0.178 0.254 0.292
O13 0.078 0.332 0.641
O14 0.578 0.668 0.359
O15 0.578 0.832 0.859
O16 0.078 0.168 0.141
O17 0.721 0.146 0.523
O18 0.221 0.854 0.477
O19 0.221 0.646 0.977
O20 0.721 0.354 0.023
O21 0.208 0.148 0.496
O22 0.708 0.852 0.504
O23 0.708 0.648 0.004
O24 0.208 0.352 0.996
O25 0.044 0.147 0.651
O26 0.544 0.853 0.349
O27 0.544 0.647 0.849
O28 0.044 0.353 0.151
O29 0.652 0.252 0.724
O30 0.152 0.748 0.276
O31 0.152 0.752 0.776
O32 0.652 0.248 0.224
O33 0.208 0.363 0.489
O34 0.708 0.637 0.511
O35 0.708 0.863 0.011
O36 0.208 0.137 0.989
O37 0.544 0.348 0.855
O38 0.044 0.652 0.145
O39 0.044 0.848 0.645
O40 0.544 0.152 0.355
O41 0.600 0.486 0.630
O42 0.100 0.514 0.370
O43 0.100 0.986 0.870
O44 0.600 0.014 0.130
O45 0.723 0.365 0.528
O46 0.223 0.635 0.472
O47 0.223 0.865 0.972
O48 0.723 0.135 0.028
O49 0.002 0.004 0.565
O50 0.502 0.996 0.435
O51 0.502 0.504 0.935
O52 0.002 0.496 0.065
O53 0.024 0.496 0.583
O54 0.524 0.504 0.417
O55 0.524 0.996 0.917
O56 0.024 0.004 0.083
```

Energy of formation from the pure elements ... -2.699 eV per atom

---

[4]
Hf2SiNi3 after structural relaxation, computed with GGA-PBE.

Structure (CIF):
```
data_Hf2SiNi3
_chemical_formula_sum 'Hf4 Si2 Ni6'
_cell_length_a 4.992
_cell_length_b 4.992
_cell_length_c 7.778
_cell_angle_alpha 90.00
_cell_angle_beta 90.00
_cell_angle_gamma 120.00
_space_group_name_H-M_alt 'P 1'
_space_group_IT_number 1
_space_group_name_Hall 'P 1'
loop_
_atom_site_label
_atom_site_fract_x
_atom_site_fract_y
_atom_site_fract_z
Hf1 0.333 0.667 0.446
Hf2 0.667 0.333 0.554
Hf3 0.667 0.333 0.946
Hf4 0.333 0.667 0.054
Si1 0.000 0.000 0.500
Si2 0.000 0.000 0.000
Ni1 0.833 0.167 0.250
Ni2 0.833 0.666 0.250
Ni3 0.334 0.167 0.250
Ni4 0.167 0.833 0.750
Ni5 0.167 0.334 0.750
Ni6 0.666 0.833 0.750
```

Energy of formation from the pure elements ... -0.653 eV per atom

---

[5]
CuSnO6 after structural relaxation, computed with GGA-PBE.

Structure (CIF):
```
data_CuSnO6
_chemical_formula_sum 'Cu4 Sn4 O24'
_cell_length_a 7.963
_cell_length_b 7.963
_cell_length_c 6.403
_cell_angle_alpha 90.00
_cell_angle_beta 90.00
_cell_angle_gamma 90.00
_space_group_name_H-M_alt 'P 1'
_space_group_IT_number 1
_space_group_name_Hall 'P 1'
loop_
_atom_site_label
_atom_site_fract_x
_atom_site_fract_y
_atom_site_fract_z
Cu1 0.750 0.250 0.750
Cu2 0.750 0.750 0.250
Cu3 0.250 0.250 0.250
Cu4 0.250 0.750 0.750
Sn1 0.250 0.750 0.250
Sn2 0.250 0.250 0.750
Sn3 0.750 0.750 0.750
Sn4 0.750 0.250 0.250
O1 0.775 0.495 0.891
O2 0.725 0.995 0.391
O3 0.275 0.005 0.391
O4 0.225 0.505 0.891
O5 0.725 0.005 0.609
O6 0.775 0.505 0.109
O7 0.225 0.495 0.109
O8 0.275 0.995 0.609
O9 0.495 0.775 0.891
O10 0.995 0.725 0.391
O11 0.005 0.275 0.391
O12 0.505 0.225 0.891
O13 0.005 0.725 0.609
O14 0.505 0.775 0.109
O15 0.495 0.225 0.109
O16 0.995 0.275 0.609
O17 0.662 0.338 0.515
O18 0.838 0.838 0.015
O19 0.162 0.162 0.015
O20 0.338 0.662 0.515
O21 0.838 0.162 0.985
O22 0.662 0.662 0.485
O23 0.338 0.338 0.485
O24 0.162 0.838 0.985
```

Excess energy over the best structure of this formula in the dataset ... 0.007 eV per atom
Energy of formation from the pure elements ... -0.462 eV per atom

---

[6]
MnFe3 after structural relaxation, computed with GGA-PBE.

Structure (CIF):
```
data_MnFe3
_chemical_formula_sum 'Mn1 Fe3'
_cell_length_a 2.828
_cell_length_b 2.828
_cell_length_c 5.694
_cell_angle_alpha 90.00
_cell_angle_beta 90.00
_cell_angle_gamma 90.00
_space_group_name_H-M_alt 'P 1'
_space_group_IT_number 1
_space_group_name_Hall 'P 1'
loop_
_atom_site_label
_atom_site_fract_x
_atom_site_fract_y
_atom_site_fract_z
Mn1 0.500 0.500 0.500
Fe1 0.000 0.000 0.747
Fe2 0.500 0.500 0.000
Fe3 0.000 0.000 0.253
```

Energy of formation from the pure elements ... 0.051 eV per atom

---

[7]
BaSrSmBiO6 after structural relaxation, computed with GGA-PBE.

Structure (CIF):
```
data_BaSrSmBiO6
_chemical_formula_sum 'Ba1 Sr1 Sm1 Bi1 O6'
_cell_length_a 6.196
_cell_length_b 6.196
_cell_length_c 6.196
_cell_angle_alpha 60.00
_cell_angle_beta 60.00
_cell_angle_gamma 60.00
_space_group_name_H-M_alt 'P 1'
_space_group_IT_number 1
_space_group_name_Hall 'P 1'
loop_
_atom_site_label
_atom_site_fract_x
_atom_site_fract_y
_atom_site_fract_z
Ba1 0.750 0.750 0.750
Sr1 0.250 0.250 0.250
Sm1 0.500 0.500 0.500
Bi1 0.000 0.000 0.000
O1 0.758 0.242 0.242
O2 0.242 0.758 0.758
O3 0.758 0.242 0.758
O4 0.242 0.758 0.242
O5 0.758 0.758 0.242
O6 0.242 0.242 0.758
```

Excess energy over the best structure of this formula in the dataset ... 0.050 eV per atom
Energy of formation from the pure elements ... -2.730 eV per atom

---

[8]
Al3Ru after structural relaxation, computed with GGA-PBE.

Structure (CIF):
```
data_Al3Ru
_chemical_formula_sum 'Al12 Ru4'
_cell_length_a 5.459
_cell_length_b 5.459
_cell_length_c 8.943
_cell_angle_alpha 90.00
_cell_angle_beta 90.00
_cell_angle_gamma 120.00
_space_group_name_H-M_alt 'P 1'
_space_group_IT_number 1
_space_group_name_Hall 'P 1'
loop_
_atom_site_label
_atom_site_fract_x
_atom_site_fract_y
_atom_site_fract_z
Al1 0.500 0.500 0.500
Al2 0.500 0.000 0.500
Al3 0.000 0.500 0.500
Al4 0.500 0.500 0.000
Al5 0.500 0.000 0.000
Al6 0.000 0.500 0.000
Al7 0.836 0.673 0.250
Al8 0.327 0.164 0.250
Al9 0.836 0.164 0.250
Al10 0.164 0.327 0.750
Al11 0.673 0.836 0.750
Al12 0.164 0.836 0.750
Ru1 0.000 0.000 0.500
Ru2 0.000 0.000 0.000
Ru3 0.333 0.667 0.250
Ru4 0.667 0.333 0.750
```

Energy of formation from the pure elements ... -0.387 eV per atom